Entry 1:
# K3CrO8, relaxed, DFT GGA+U
data_K3CrO8
_symmetry_space_group_name_H-M 'P 1'
_symmetry_Int_Tables_number 1
_cell_length_a 6.210
_cell_length_b 6.210
_cell_length_c 6.210
_cell_angle_alpha 113.39
_cell_angle_beta 113.39
_cell_angle_gamma 101.89
loop_
_symmetry_equiv_pos_as_xyz
'x,y,z'
loop_
_atom_site_label
_atom_site_fract_x
_atom_site_fract_y
_atom_site_fract_z
K1 0.750 0.250 0.500
K2 0.250 0.750 0.500
K3 0.500 0.500 0.000
Cr1 0.000 0.000 0.000
O1 0.223 0.810 0.000
O2 0.190 0.190 0.413
O3 0.777 0.777 0.587
O4 0.810 0.223 0.000
O5 0.045 0.313 0.000
O6 0.687 0.687 0.732
O7 0.955 0.955 0.268
O8 0.313 0.045 0.000
# M_tot ... 1.0 μB/cell
# Largest piezoelectric modulus ... 0.9 C/m2

Entry 2:
# LiMn2OF5, relaxed, DFT GGA+U
data_LiMn2OF5
_symmetry_space_group_name_H-M 'P 1'
_symmetry_Int_Tables_number 1
_cell_length_a 4.646
_cell_length_b 4.646
_cell_length_c 18.930
_cell_angle_alpha 88.31
_cell_angle_beta 88.31
_cell_angle_gamma 89.85
loop_
_symmetry_equiv_pos_as_xyz
'x,y,z'
loop_
_atom_site_label
_atom_site_fract_x
_atom_site_fract_y
_atom_site_fract_z
Li1 0.994 0.008 0.997
Li2 0.008 0.994 0.497
Li3 0.498 0.488 0.247
Li4 0.488 0.498 0.747
Mn1 0.017 0.975 0.165
Mn2 0.987 0.980 0.336
Mn3 0.975 0.017 0.665
Mn4 0.980 0.987 0.836
Mn5 0.484 0.520 0.086
Mn6 0.523 0.513 0.416
Mn7 0.513 0.523 0.916
Mn8 0.520 0.484 0.586
O1 0.803 0.797 0.412
O2 0.797 0.803 0.912
O3 0.690 0.297 0.662
O4 0.297 0.690 0.162
F1 0.796 0.800 0.082
F2 0.800 0.796 0.582
F3 0.811 0.785 0.247
F4 0.785 0.811 0.747
F5 0.686 0.325 0.008
F6 0.711 0.302 0.497
F7 0.719 0.273 0.166
F8 0.700 0.306 0.836
F9 0.707 0.293 0.333
F10 0.293 0.707 0.833
F11 0.306 0.700 0.336
F12 0.273 0.719 0.666
F13 0.302 0.711 0.997
F14 0.325 0.686 0.508
F15 0.192 0.177 0.257
F16 0.177 0.192 0.757
F17 0.226 0.216 0.417
F18 0.216 0.226 0.917
F19 0.200 0.203 0.586
F20 0.203 0.200 0.086
# M_tot ... 32.0 μB/cell

Entry 3:
# Li5Ti4Co3O16, relaxed, DFT GGA+U
data_Li5Ti4Co3O16
_symmetry_space_group_name_H-M 'P 1'
_symmetry_Int_Tables_number 1
_cell_length_a 8.316
_cell_length_b 8.424
_cell_length_c 8.435
_cell_angle_alpha 90.44
_cell_angle_beta 90.25
_cell_angle_gamma 90.03
loop_
_symmetry_equiv_pos_as_xyz
'x,y,z'
loop_
_atom_site_label
_atom_site_fract_x
_atom_site_fract_y
_atom_site_fract_z
Li1 0.885 0.122 0.382
Li2 0.756 0.249 0.751
Li3 0.754 0.750 0.257
Li4 0.624 0.874 0.874
Li5 0.360 0.378 0.619
Li6 0.361 0.620 0.380
Li7 0.129 0.378 0.867
Li8 0.128 0.624 0.134
Li9 0.119 0.138 0.617
Li10 0.120 0.871 0.373
Ti1 0.889 0.384 0.124
Ti2 0.877 0.620 0.882
Ti3 0.877 0.897 0.604
Ti4 0.633 0.111 0.120
Ti5 0.619 0.377 0.387
Ti6 0.612 0.624 0.621
Ti7 0.380 0.131 0.858
Ti8 0.375 0.862 0.135
Co1 0.998 0.500 0.500
Co2 0.496 0.496 0.998
Co3 0.502 0.997 0.496
Co4 0.253 0.249 0.249
Co5 0.245 0.754 0.755
Co6 0.006 0.998 0.997
O1 0.883 0.395 0.896
O2 0.884 0.882 0.394
O3 0.881 0.107 0.623
O4 0.880 0.609 0.108
O5 0.881 0.865 0.877
O6 0.860 0.376 0.360
O7 0.865 0.133 0.115
O8 0.861 0.631 0.640
O9 0.636 0.364 0.134
O10 0.634 0.863 0.622
O11 0.638 0.622 0.864
O12 0.620 0.135 0.360
O13 0.619 0.392 0.608
O14 0.607 0.893 0.122
O15 0.604 0.120 0.896
O16 0.616 0.605 0.396
O17 0.383 0.116 0.117
O18 0.386 0.635 0.637
O19 0.388 0.371 0.367
O20 0.369 0.886 0.886
O21 0.382 0.640 0.119
O22 0.381 0.118 0.641
O23 0.377 0.358 0.878
O24 0.375 0.878 0.356
O25 0.136 0.121 0.882
O26 0.118 0.619 0.380
O27 0.136 0.881 0.121
O28 0.117 0.380 0.621
O29 0.137 0.132 0.370
O30 0.115 0.629 0.870
O31 0.114 0.371 0.131
O32 0.120 0.868 0.630
# M_tot ... 26.0 μB/cell

Entry 4:
# MgTi2NiO6, relaxed, DFT GGA+U
data_MgTi2NiO6
_symmetry_space_group_name_H-M 'P 1'
_symmetry_Int_Tables_number 1
_cell_length_a 5.518
_cell_length_b 8.812
_cell_length_c 9.062
_cell_angle_alpha 99.31
_cell_angle_beta 84.80
_cell_angle_gamma 105.45
loop_
_symmetry_equiv_pos_as_xyz
'x,y,z'
loop_
_atom_site_label
_atom_site_fract_x
_atom_site_fract_y
_atom_site_fract_z
Mg1 0.545 0.677 0.515
Mg2 0.795 0.177 0.265
Mg3 0.295 0.177 0.765
Mg4 0.045 0.677 0.015
Ti1 0.928 0.428 0.643
Ti2 0.178 0.929 0.393
Ti3 0.678 0.929 0.893
Ti4 0.428 0.428 0.143
Ti5 0.823 0.072 0.607
Ti6 0.073 0.572 0.358
Ti7 0.573 0.572 0.858
Ti8 0.323 0.072 0.107
Ni1 0.211 0.825 0.737
Ni2 0.461 0.325 0.487
Ni3 0.960 0.325 0.987
Ni4 0.711 0.825 0.237
O1 0.610 0.524 0.649
O2 0.860 0.024 0.398
O3 0.360 0.024 0.898
O4 0.110 0.524 0.149
O5 0.597 0.887 0.661
O6 0.847 0.387 0.411
O7 0.347 0.387 0.911
O8 0.097 0.887 0.161
O9 0.875 0.718 0.384
O10 0.125 0.218 0.133
O11 0.625 0.218 0.633
O12 0.375 0.718 0.884
O13 0.137 0.974 0.602
O14 0.387 0.475 0.351
O15 0.887 0.475 0.851
O16 0.637 0.974 0.102
O17 0.150 0.614 0.588
O18 0.401 0.114 0.338
O19 0.901 0.114 0.838
O20 0.650 0.614 0.088
O21 0.874 0.781 0.865
O22 0.124 0.281 0.615
O23 0.624 0.281 0.115
O24 0.374 0.781 0.365
# M_tot ... 0.0 μB/cell
# Largest piezoelectric modulus ... 0.2 C/m2

Entry 5:
Material: TiCo2O4
Method: DFT, GGA+U
State: relaxed

CIF file:
```
data_TiCo2O4
_symmetry_space_group_name_H-M 'P 1'
_symmetry_Int_Tables_number 1
_cell_length_a 6.051
_cell_length_b 6.051
_cell_length_c 6.051
_cell_angle_alpha 120.49
_cell_angle_beta 120.37
_cell_angle_gamma 89.26
loop_
_symmetry_equiv_pos_as_xyz
'x,y,z'
loop_
_atom_site_label
_atom_site_fract_x
_atom_site_fract_y
_atom_site_fract_z
Ti1 0.500 0.500 0.000
Ti2 0.000 0.500 0.500
Co1 0.616 0.866 0.750
Co2 0.384 0.134 0.250
Co3 0.000 0.000 0.500
Co4 0.000 0.500 0.000
O1 0.253 0.281 0.528
O2 0.258 0.272 0.986
O3 0.253 0.724 0.972
O4 0.785 0.272 0.514
O5 0.215 0.728 0.486
O6 0.742 0.728 0.014
O7 0.747 0.276 0.028
O8 0.747 0.719 0.472
```

Entry 6:
# FePO6, relaxed, DFT GGA+U
data_FePO6
_symmetry_space_group_name_H-M 'P 1'
_symmetry_Int_Tables_number 1
_cell_length_a 9.600
_cell_length_b 5.463
_cell_length_c 10.841
_cell_angle_alpha 61.70
_cell_angle_beta 90.00
_cell_angle_gamma 90.00
loop_
_symmetry_equiv_pos_as_xyz
'x,y,z'
loop_
_atom_site_label
_atom_site_fract_x
_atom_site_fract_y
_atom_site_fract_z
Fe1 0.194 0.196 0.841
Fe2 0.306 0.196 0.341
Fe3 0.806 0.804 0.159
Fe4 0.694 0.804 0.659
P1 0.843 0.155 0.809
P2 0.657 0.155 0.309
P3 0.157 0.845 0.191
P4 0.343 0.845 0.691
O1 0.019 0.783 0.626
O2 0.481 0.783 0.126
O3 0.981 0.217 0.374
O4 0.519 0.217 0.874
O5 0.045 0.669 0.553
O6 0.455 0.669 0.053
O7 0.955 0.331 0.447
O8 0.545 0.331 0.947
O9 0.277 0.554 0.747
O10 0.223 0.554 0.247
O11 0.723 0.446 0.253
O12 0.777 0.446 0.753
O13 0.003 0.179 0.803
O14 0.497 0.179 0.303
O15 0.997 0.821 0.197
O16 0.503 0.821 0.697
O17 0.295 0.973 0.784
O18 0.205 0.973 0.284
O19 0.705 0.027 0.216
O20 0.795 0.027 0.716
O21 0.204 0.038 0.038
O22 0.296 0.038 0.538
O23 0.796 0.962 0.962
O24 0.704 0.962 0.462
# M_tot ... 12.0 μB/cell

Entry 7:
# Li3P7W5O29, relaxed, DFT GGA+U
data_Li3P7W5O29
_symmetry_space_group_name_H-M 'P 1'
_symmetry_Int_Tables_number 1
_cell_length_a 6.543
_cell_length_b 10.850
_cell_length_c 19.057
_cell_angle_alpha 91.86
_cell_angle_beta 94.98
_cell_angle_gamma 107.42
loop_
_symmetry_equiv_pos_as_xyz
'x,y,z'
loop_
_atom_site_label
_atom_site_fract_x
_atom_site_fract_y
_atom_site_fract_z
Li1 0.460 0.083 0.464
Li2 0.312 0.608 0.238
Li3 0.141 0.315 0.144
Li4 0.878 0.088 0.929
Li5 0.877 0.679 0.862
Li6 0.693 0.393 0.759
P1 0.167 0.566 0.787
P2 0.033 0.323 0.548
P3 0.171 0.348 0.989
P4 0.397 0.956 0.660
P5 0.249 0.285 0.425
P6 0.401 0.782 0.146
P7 0.073 0.078 0.198
P8 0.928 0.918 0.804
P9 0.604 0.217 0.855
P10 0.759 0.709 0.580
P11 0.605 0.042 0.343
P12 0.819 0.647 0.012
P13 0.968 0.672 0.456
P14 0.841 0.432 0.214
W1 0.061 0.949 0.355
W2 0.318 0.674 0.969
W3 0.423 0.874 0.842
W4 0.112 0.250 0.811
W5 0.215 0.633 0.612
W6 0.791 0.365 0.390
W7 0.890 0.748 0.187
W8 0.581 0.124 0.159
W9 0.673 0.323 0.033
W10 0.934 0.040 0.645
O1 0.004 0.696 0.964
O2 0.093 0.850 0.834
O3 0.004 0.941 0.165
O4 0.035 0.808 0.432
O5 0.169 0.479 0.960
O6 0.145 0.641 0.503
O7 0.409 0.932 0.739
O8 0.292 0.665 0.852
O9 0.446 0.853 0.943
O10 0.136 0.250 0.924
O11 0.031 0.186 0.714
O12 0.325 0.828 0.613
O13 0.117 0.431 0.608
O14 0.236 0.441 0.799
O15 0.265 0.628 0.722
O16 0.201 0.734 0.187
O17 0.080 0.329 0.379
O18 0.082 0.450 0.212
O19 0.386 0.962 0.368
O20 0.245 0.337 0.505
O21 0.470 0.925 0.136
O22 0.354 0.706 0.073
O23 0.100 0.086 0.279
O24 0.204 0.137 0.426
O25 0.614 0.635 0.962
O26 0.714 0.838 0.832
O27 0.242 0.034 0.637
O28 0.532 0.642 0.599
O29 0.427 0.241 0.804
O30 0.564 0.736 0.194
O31 0.475 0.356 0.406
O32 0.763 0.966 0.364
O33 0.290 0.160 0.172
O34 0.374 0.358 0.038
O35 0.823 0.857 0.581
O36 0.905 0.910 0.725
O37 0.624 0.295 0.927
O38 0.580 0.076 0.872
O39 0.759 0.658 0.499
O40 0.618 0.036 0.638
O41 0.926 0.546 0.789
O42 0.918 0.654 0.624
O43 0.806 0.274 0.816
O44 0.746 0.371 0.280
O45 0.777 0.557 0.204
O46 0.886 0.564 0.394
O47 0.669 0.167 0.394
O48 0.967 0.805 0.287
O49 0.839 0.736 0.077
O50 0.558 0.144 0.058
O51 0.708 0.334 0.150
O52 0.591 0.073 0.266
O53 0.856 0.353 0.499
O54 0.827 0.515 0.038
O55 0.962 0.186 0.569
O56 0.993 0.056 0.839
O57 0.912 0.150 0.171
O58 0.982 0.294 0.035
# M_tot ... 20.0 μB/cell

Entry 8:
# SmEuCrSnO6, relaxed, DFT GGA+U
data_SmEuCrSnO6
_symmetry_space_group_name_H-M 'P 1'
_symmetry_Int_Tables_number 1
_cell_length_a 5.665
_cell_length_b 5.665
_cell_length_c 5.665
_cell_angle_alpha 60.00
_cell_angle_beta 60.00
_cell_angle_gamma 60.00
loop_
_symmetry_equiv_pos_as_xyz
'x,y,z'
loop_
_atom_site_label
_atom_site_fract_x
_atom_site_fract_y
_atom_site_fract_z
Sm1 0.750 0.750 0.750
Eu1 0.250 0.250 0.250
Cr1 0.000 0.000 0.000
Sn1 0.500 0.500 0.500
O1 0.753 0.247 0.247
O2 0.247 0.753 0.753
O3 0.753 0.247 0.753
O4 0.247 0.753 0.247
O5 0.753 0.753 0.247
O6 0.247 0.247 0.753
# M_tot ... 10.0 μB/cell

Results for E_form: -1.1399 -2.7084 -2.4203 -2.9855 -2.2364 -1.4681 -2.4658 -2.7036 (in eV/atom, following the order of the records).
Results for energy: -5.247 -5.866 -6.910 -7.605 -7.362 -6.512 -7.234 -7.924 (in eV per atom, following the order of the records).